# 1
First-principles (meta-GGA r2SCAN) data for crystalline CsHo2Cl7 at its relaxed geometry, as listed in the Materials Project database.

Results
total moment = 0.00 μB per atom
space group = No. 62
E_form = -2.5263 eV/atom
total energy = -15.920 eV/atom

abc: 6.955 12.607 13.581
angles: 90.00 90.00 90.00
Sites, in units of the cell vectors:
Cs 0.250 0.798 0.040
Cs 0.750 0.202 0.960
Cs 0.750 0.298 0.460
Cs 0.250 0.702 0.540
Ho 0.250 0.453 0.242
Ho 0.750 0.547 0.758
Ho 0.750 0.953 0.258
Ho 0.250 0.047 0.742
Ho 0.250 0.150 0.250
Ho 0.750 0.850 0.750
Ho 0.750 0.650 0.250
Ho 0.250 0.350 0.750
Cl 0.009 0.301 0.182
Cl 0.991 0.699 0.818
Cl 0.991 0.801 0.318
Cl 0.509 0.699 0.818
Cl 0.009 0.199 0.682
Cl 0.491 0.301 0.182
Cl 0.491 0.199 0.682
Cl 0.509 0.801 0.318
Cl 0.009 0.567 0.127
Cl 0.991 0.433 0.873
Cl 0.991 0.067 0.373
Cl 0.509 0.433 0.873
Cl 0.009 0.933 0.627
Cl 0.491 0.567 0.127
Cl 0.491 0.933 0.627
Cl 0.509 0.067 0.373
Cl 0.010 0.035 0.133
Cl 0.990 0.965 0.867
Cl 0.990 0.535 0.367
Cl 0.510 0.965 0.867
Cl 0.010 0.465 0.633
Cl 0.490 0.035 0.133
Cl 0.490 0.465 0.633
Cl 0.510 0.535 0.367
Cl 0.250 0.303 0.391
Cl 0.750 0.697 0.609
Cl 0.750 0.803 0.109
Cl 0.250 0.197 0.891


# 2
First-principles (meta-GGA r2SCAN) data for crystalline Li4Mn5P6WO24 at its relaxed geometry, as listed in the Materials Project database.

Results
total moment = 0.68 μB per atom
space group = No. 1
E_form = -2.3560 eV/atom
total energy = -10.648 eV/atom

abc: 8.833 8.301 8.910
angles: 60.14 58.01 59.46
Sites, in units of the cell vectors:
Li 0.734 0.140 0.366
Li 0.261 0.951 0.601
Li 0.588 0.276 0.890
Li 0.897 0.622 0.288
Mn 0.109 0.943 0.026
Mn 0.350 0.369 0.311
Mn 0.484 0.508 0.498
Mn 0.156 0.174 0.152
Mn 0.658 0.653 0.673
P 0.074 0.738 0.452
P 0.466 0.035 0.754
P 0.764 0.406 0.041
P 0.230 0.588 0.959
P 0.542 0.965 0.242
P 0.909 0.248 0.536
W 0.854 0.827 0.867
O 0.434 0.914 0.693
O 0.691 0.427 0.908
O 0.904 0.724 0.457
O 0.155 0.878 0.263
O 0.015 0.811 0.609
O 0.230 0.537 0.482
O 0.276 0.116 0.897
O 0.535 0.202 0.593
O 0.098 0.469 0.101
O 0.603 0.442 0.224
O 0.105 0.803 0.871
O 0.439 0.108 0.108
O 0.615 0.880 0.843
O 0.901 0.196 0.091
O 0.394 0.509 0.801
O 0.872 0.551 0.945
O 0.450 0.813 0.407
O 0.747 0.846 0.128
O 0.763 0.460 0.523
O 0.915 0.188 0.397
O 0.824 0.120 0.742
O 0.107 0.231 0.498
O 0.290 0.621 0.072
O 0.560 0.088 0.311


# 3
First-principles (meta-GGA r2SCAN) data for crystalline ScFe2 at its relaxed geometry, as listed in the Materials Project database.

Results
total moment = 1.14 μB per atom
space group = No. 194
E_form = -0.1358 eV/atom
total energy = -13.544 eV/atom

abc: 4.988 4.988 8.138
angles: 90.00 90.00 120.00
Sites, in units of the cell vectors:
Sc 0.333 0.667 0.437
Sc 0.667 0.333 0.563
Sc 0.667 0.333 0.937
Sc 0.333 0.667 0.063
Fe 0.000 0.000 0.500
Fe 0.000 0.000 0.000
Fe 0.833 0.167 0.250
Fe 0.833 0.666 0.250
Fe 0.334 0.167 0.250
Fe 0.167 0.833 0.750
Fe 0.167 0.334 0.750
Fe 0.666 0.833 0.750


# 4
First-principles (meta-GGA r2SCAN) data for crystalline SiO2 at its relaxed geometry, as listed in the Materials Project database.

Results
total moment = 0.00 μB per atom
space group = No. 1
E_form = -3.0313 eV/atom
total energy = -9.938 eV/atom

abc: 8.661 8.657 16.444
angles: 88.54 91.48 120.50
Sites, in units of the cell vectors:
Si 0.310 0.921 0.165
Si 0.668 0.603 0.186
Si 0.996 0.294 0.148
Si 0.974 0.609 0.082
Si 0.340 0.279 0.113
Si 0.655 0.927 0.116
Si 0.362 0.974 0.352
Si 0.053 0.651 0.438
Si 0.719 0.651 0.373
Si 0.355 0.313 0.407
Si 0.047 0.347 0.336
Si 0.721 0.005 0.405
Si 0.003 0.597 0.626
Si 0.303 0.259 0.594
Si 0.668 0.951 0.592
Si 0.338 0.949 0.668
Si 0.649 0.604 0.647
Si 0.989 0.253 0.684
Si 0.389 0.004 0.855
Si 0.028 0.659 0.895
Si 0.699 0.661 0.834
Si 0.394 0.333 0.925
Si 0.043 0.310 0.872
Si 0.705 0.977 0.929
O 0.509 0.984 0.134
O 0.826 0.638 0.126
O 0.183 0.327 0.115
O 0.169 0.734 0.123
O 0.927 0.403 0.091
O 0.500 0.402 0.176
O 0.260 0.072 0.138
O 0.849 0.084 0.146
O 0.604 0.744 0.165
O 0.299 0.892 0.262
O 0.742 0.627 0.278
O 0.022 0.366 0.240
O 0.250 0.818 0.418
O 0.573 0.046 0.365
O 0.005 0.483 0.382
O 0.565 0.463 0.412
O 0.906 0.711 0.421
O 0.328 0.138 0.361
O 0.913 0.143 0.366
O 0.250 0.394 0.356
O 0.667 0.803 0.384
O 0.051 0.594 0.532
O 0.277 0.257 0.497
O 0.734 0.032 0.502
O 0.180 0.741 0.674
O 0.931 0.402 0.667
O 0.507 0.403 0.619
O 0.256 0.063 0.626
O 0.829 0.059 0.656
O 0.611 0.742 0.595
O 0.498 0.971 0.612
O 0.849 0.648 0.631
O 0.169 0.312 0.635
O 0.416 0.020 0.758
O 0.624 0.624 0.742
O 0.026 0.241 0.780
O 0.236 0.803 0.880
O 0.575 0.051 0.899
O 0.991 0.463 0.873
O 0.585 0.484 0.890
O 0.906 0.710 0.837
O 0.331 0.144 0.883
O 0.910 0.142 0.929
O 0.245 0.389 0.906
O 0.681 0.824 0.867
O 0.978 0.663 0.988
O 0.419 0.317 0.022
O 0.656 0.894 0.020


# 5
First-principles (meta-GGA r2SCAN) data for crystalline MnNi6O8 at its relaxed geometry, as listed in the Materials Project database.

Results
total moment = 1.00 μB per atom
space group = No. 225
E_form = -1.3083 eV/atom
total energy = -10.265 eV/atom

abc: 5.892 5.892 5.892
angles: 60.00 60.00 60.00
Sites, in units of the cell vectors:
Mn 0.000 0.000 0.000
Ni 0.000 0.500 0.500
Ni 0.000 0.500 0.000
Ni 0.500 0.000 0.500
Ni 0.500 0.500 0.000
Ni 0.000 0.000 0.500
Ni 0.500 0.000 0.000
O 0.228 0.772 0.772
O 0.228 0.772 0.228
O 0.772 0.228 0.772
O 0.228 0.228 0.772
O 0.772 0.772 0.228
O 0.772 0.228 0.228
O 0.750 0.750 0.750
O 0.250 0.250 0.250


# 6
First-principles (meta-GGA r2SCAN) data for crystalline Fe3Co at its relaxed geometry, as listed in the Materials Project database.

Results
total moment = 2.44 μB per atom
space group = No. 123
E_form = -0.1227 eV/atom
total energy = -14.241 eV/atom

abc: 2.828 4.024 4.024
angles: 90.00 90.00 90.00
Sites, in units of the cell vectors:
Fe 0.000 0.500 0.500
Fe 0.500 0.500 0.000
Fe 0.500 0.000 0.500
Co 0.000 0.000 0.000